Material: EuGd2S4
Method: DFT, PBE
State: relaxed

Cell and atoms, written as CIF:
```
data_EuGd2S4
_cell_length_a 7.350
_cell_length_b 7.350
_cell_length_c 7.350
_cell_angle_alpha 109.30
_cell_angle_beta 109.30
_cell_angle_gamma 109.82
_symmetry_space_group_name_H-M 'P 1'
_symmetry_Int_Tables_number 1
loop_
_symmetry_equiv_pos_as_xyz
'x,y,z'
loop_
_atom_site_label
_atom_site_fract_x
_atom_site_fract_y
_atom_site_fract_z
S1 0.866 0.617 0.098
Gd1 0.125 0.501 0.876
Gd2 0.751 0.875 0.376
Gd3 0.625 0.249 0.124
Eu1 0.250 0.750 0.500
S2 0.867 0.616 0.598
S3 0.731 0.133 0.749
S4 0.232 0.134 0.751
S5 0.519 0.768 0.902
Gd4 0.499 0.375 0.624
S6 0.018 0.269 0.402
Eu2 0.000 0.000 0.000
S7 0.384 0.982 0.251
S8 0.383 0.481 0.249
```

Calculated values
Energy relative to the elements = -16.75 eV per formula unit

***

Material: Eu2Ge
Method: DFT, PBE
State: relaxed

Cell and atoms, written as CIF:
```
data_Eu2Ge
_cell_length_a 5.027
_cell_length_b 7.668
_cell_length_c 9.316
_cell_angle_alpha 90.00
_cell_angle_beta 90.00
_cell_angle_gamma 90.00
_symmetry_space_group_name_H-M 'P 1'
_symmetry_Int_Tables_number 1
loop_
_symmetry_equiv_pos_as_xyz
'x,y,z'
loop_
_atom_site_label
_atom_site_fract_x
_atom_site_fract_y
_atom_site_fract_z
Ge1 0.750 0.253 0.099
Eu1 0.750 0.844 0.080
Eu2 0.750 0.981 0.684
Ge2 0.250 0.747 0.901
Eu3 0.750 0.344 0.420
Eu4 0.750 0.481 0.816
Ge3 0.250 0.247 0.599
Eu5 0.250 0.019 0.316
Eu6 0.250 0.519 0.184
Eu7 0.250 0.656 0.580
Ge4 0.750 0.753 0.401
Eu8 0.250 0.156 0.920
```

Calculated values
Energy relative to the elements = -1.79 eV per formula unit

***

Material: EuGe3
Method: DFT, PBE
State: relaxed

Cell and atoms, written as CIF:
```
data_EuGe3
_cell_length_a 6.279
_cell_length_b 6.279
_cell_length_c 5.131
_cell_angle_alpha 90.00
_cell_angle_beta 90.00
_cell_angle_gamma 120.00
_symmetry_space_group_name_H-M 'P 1'
_symmetry_Int_Tables_number 1
loop_
_symmetry_equiv_pos_as_xyz
'x,y,z'
loop_
_atom_site_label
_atom_site_fract_x
_atom_site_fract_y
_atom_site_fract_z
Ge1 0.141 0.283 0.250
Ge2 0.859 0.717 0.750
Ge3 0.717 0.859 0.250
Eu1 0.333 0.667 0.750
Ge4 0.283 0.141 0.750
Ge5 0.141 0.859 0.250
Ge6 0.859 0.141 0.750
Eu2 0.667 0.333 0.250
```

Calculated values
Energy relative to the elements = -1.48 eV per formula unit

***

Material: Eu5Ge3
Method: DFT, PBE
State: relaxed

Cell and atoms, written as CIF:
```
data_Eu5Ge3
_cell_length_a 9.381
_cell_length_b 9.381
_cell_length_c 9.381
_cell_angle_alpha 130.15
_cell_angle_beta 130.15
_cell_angle_gamma 73.17
_symmetry_space_group_name_H-M 'P 1'
_symmetry_Int_Tables_number 1
loop_
_symmetry_equiv_pos_as_xyz
'x,y,z'
loop_
_atom_site_label
_atom_site_fract_x
_atom_site_fract_y
_atom_site_fract_z
Ge1 0.384 0.116 0.500
Ge2 0.616 0.884 0.500
Ge3 0.250 0.250 0.000
Eu1 0.469 0.969 0.148
Eu2 0.000 0.000 0.000
Ge4 0.750 0.750 0.000
Eu3 0.500 0.500 0.000
Eu4 0.179 0.679 0.148
Eu5 0.679 0.531 0.500
Eu6 0.821 0.321 0.852
Ge5 0.116 0.616 0.731
Ge6 0.884 0.384 0.269
Eu7 0.031 0.179 0.500
Eu8 0.531 0.031 0.852
Eu9 0.321 0.469 0.500
Eu10 0.969 0.821 0.500
```

Calculated values
Energy relative to the elements = -5.10 eV per formula unit

***

Material: EuGe2
Method: DFT, PBE
State: relaxed

Cell and atoms, written as CIF:
```
data_EuGe2
_cell_length_a 5.105
_cell_length_b 5.105
_cell_length_c 5.913
_cell_angle_alpha 90.00
_cell_angle_beta 90.00
_cell_angle_gamma 120.00
_symmetry_space_group_name_H-M 'P 1'
_symmetry_Int_Tables_number 1
loop_
_symmetry_equiv_pos_as_xyz
'x,y,z'
loop_
_atom_site_label
_atom_site_fract_x
_atom_site_fract_y
_atom_site_fract_z
Ge1 0.333 0.667 0.051
Ge2 0.667 0.333 0.949
Eu1 0.000 0.000 0.000
```

Calculated values
Magnetization = 7.0 μB/cell
Energy relative to the elements = 1.03 eV per formula unit

***

Material: Eu3Ge5
Method: DFT, PBE
State: relaxed

Cell and atoms, written as CIF:
```
data_Eu3Ge5
_cell_length_a 6.273
_cell_length_b 6.273
_cell_length_c 9.809
_cell_angle_alpha 90.00
_cell_angle_beta 90.00
_cell_angle_gamma 101.65
_symmetry_space_group_name_H-M 'P 1'
_symmetry_Int_Tables_number 1
loop_
_symmetry_equiv_pos_as_xyz
'x,y,z'
loop_
_atom_site_label
_atom_site_fract_x
_atom_site_fract_y
_atom_site_fract_z
Ge1 0.905 0.518 0.750
Eu1 0.795 0.205 0.000
Eu2 0.653 0.653 0.250
Ge2 0.050 0.050 0.250
Eu3 0.205 0.795 0.500
Ge3 0.691 0.691 0.558
Ge4 0.518 0.905 0.750
Ge5 0.482 0.095 0.250
Ge6 0.691 0.691 0.942
Eu4 0.795 0.205 0.500
Eu5 0.205 0.795 0.000
Ge7 0.309 0.309 0.442
Ge8 0.095 0.482 0.250
Ge9 0.950 0.950 0.750
Eu6 0.347 0.347 0.750
Ge10 0.309 0.309 0.058
```

Calculated values
Relative energy among the computed polymorphs = 0.00 eV per formula unit
Energy relative to the elements = -4.92 eV per formula unit

***

Material: EuGe2
Method: DFT, PBE
State: relaxed

Cell and atoms, written as CIF:
```
data_EuGe2
_cell_length_a 4.241
_cell_length_b 4.241
_cell_length_c 5.037
_cell_angle_alpha 90.00
_cell_angle_beta 90.00
_cell_angle_gamma 120.00
_symmetry_space_group_name_H-M 'P 1'
_symmetry_Int_Tables_number 1
loop_
_symmetry_equiv_pos_as_xyz
'x,y,z'
loop_
_atom_site_label
_atom_site_fract_x
_atom_site_fract_y
_atom_site_fract_z
Ge1 0.667 0.333 0.401
Ge2 0.333 0.667 0.599
Eu1 0.000 0.000 0.000
```

Calculated values
Energy relative to the elements = -1.58 eV per formula unit

***

Material: EuGe2Ir2
Method: DFT, PBE
State: relaxed

Cell and atoms, written as CIF:
```
data_EuGe2Ir2
_cell_length_a 4.202
_cell_length_b 4.202
_cell_length_c 6.078
_cell_angle_alpha 110.22
_cell_angle_beta 110.22
_cell_angle_gamma 90.00
_symmetry_space_group_name_H-M 'P 1'
_symmetry_Int_Tables_number 1
loop_
_symmetry_equiv_pos_as_xyz
'x,y,z'
loop_
_atom_site_label
_atom_site_fract_x
_atom_site_fract_y
_atom_site_fract_z
Ir1 0.750 0.250 0.500
Ge1 0.626 0.626 0.251
Ge2 0.374 0.374 0.749
Ir2 0.250 0.750 0.500
Eu1 0.000 0.000 0.000
```

Calculated values
Energy relative to the elements = -3.54 eV per formula unit

***

Material: EuGe7Ir3
Method: DFT, PBE
State: relaxed

Cell and atoms, written as CIF:
```
data_EuGe7Ir3
_cell_length_a 8.381
_cell_length_b 8.381
_cell_length_c 8.381
_cell_angle_alpha 56.86
_cell_angle_beta 56.86
_cell_angle_gamma 56.86
_symmetry_space_group_name_H-M 'P 1'
_symmetry_Int_Tables_number 1
loop_
_symmetry_equiv_pos_as_xyz
'x,y,z'
loop_
_atom_site_label
_atom_site_fract_x
_atom_site_fract_y
_atom_site_fract_z
Ir1 0.933 0.567 0.250
Ge1 0.832 0.426 0.650
Ge2 0.574 0.350 0.168
Ir2 0.433 0.750 0.067
Ir3 0.567 0.250 0.933
Ge3 0.668 0.850 0.074
Ge4 0.750 0.750 0.750
Ge5 0.250 0.250 0.250
Eu1 0.500 0.500 0.500
Ir4 0.250 0.933 0.567
Ge6 0.150 0.926 0.332
Ir5 0.067 0.433 0.750
Ge7 0.350 0.168 0.574
Ge8 0.074 0.668 0.850
Ir6 0.750 0.067 0.433
Ge9 0.850 0.074 0.668
Ge10 0.650 0.832 0.426
Ge11 0.426 0.650 0.832
Ge12 0.332 0.150 0.926
Ge13 0.926 0.332 0.150
Eu2 0.000 0.000 0.000
Ge14 0.168 0.574 0.350
```

Calculated values
Magnetization = 13.2 μB/cell
Energy relative to the elements = -4.88 eV per formula unit

***

Material: Eu3Ge4Ir4
Method: DFT, PBE
State: relaxed

Cell and atoms, written as CIF:
```
data_Eu3Ge4Ir4
_cell_length_a 6.694
_cell_length_b 6.694
_cell_length_c 6.694
_cell_angle_alpha 109.47
_cell_angle_beta 109.47
_cell_angle_gamma 109.47
_symmetry_space_group_name_H-M 'P 1'
_symmetry_Int_Tables_number 1
loop_
_symmetry_equiv_pos_as_xyz
'x,y,z'
loop_
_atom_site_label
_atom_site_fract_x
_atom_site_fract_y
_atom_site_fract_z
Ir1 0.736 0.000 0.000
Ir2 0.000 0.736 0.000
Eu1 0.500 0.000 0.500
Eu2 0.500 0.500 0.000
Ir3 0.264 0.264 0.264
Ge1 0.000 0.000 0.378
Ge2 0.622 0.622 0.622
Ir4 0.000 0.000 0.736
Eu3 0.000 0.500 0.500
Ge3 0.378 0.000 0.000
Ge4 0.000 0.378 0.000
```

Calculated values
Magnetization = 20.6 μB/cell
Energy relative to the elements = -7.61 eV per formula unit

***

Material: KEuGe2O6
Method: DFT, PBE
State: relaxed

Cell and atoms, written as CIF:
```
data_KEuGe2O6
_cell_length_a 7.092
_cell_length_b 7.092
_cell_length_c 19.620
_cell_angle_alpha 97.99
_cell_angle_beta 97.99
_cell_angle_gamma 102.83
_symmetry_space_group_name_H-M 'P 1'
_symmetry_Int_Tables_number 1
loop_
_symmetry_equiv_pos_as_xyz
'x,y,z'
loop_
_atom_site_label
_atom_site_fract_x
_atom_site_fract_y
_atom_site_fract_z
O1 0.111 0.857 0.439
K1 0.606 0.394 0.750
O2 0.805 0.577 0.056
Ge1 0.437 0.614 0.595
Ge2 0.197 0.037 0.392
O3 0.279 0.933 0.315
Eu1 0.144 0.856 0.750
O4 0.423 0.195 0.444
O5 0.502 0.998 0.799
O6 0.933 0.279 0.815
O7 0.889 0.143 0.561
Ge3 0.899 0.635 0.242
O8 0.580 0.270 0.318
O9 0.463 0.800 0.956
Eu2 0.884 0.469 0.581
K2 0.286 0.075 0.575
Ge4 0.365 0.101 0.258
Ge5 0.563 0.386 0.405
K3 0.075 0.286 0.075
O10 0.270 0.580 0.818
O11 0.730 0.420 0.182
O12 0.185 0.034 0.872
O13 0.433 0.565 0.104
Ge6 0.635 0.899 0.742
O14 0.795 0.818 0.276
Ge7 0.803 0.963 0.608
Ge8 0.386 0.563 0.905
O15 0.577 0.805 0.556
O16 0.143 0.889 0.061
O17 0.966 0.815 0.628
O18 0.002 0.498 0.701
O19 0.420 0.730 0.682
O20 0.721 0.067 0.685
O21 0.498 0.002 0.201
O22 0.818 0.795 0.776
O23 0.067 0.721 0.185
O24 0.034 0.185 0.372
K4 0.714 0.925 0.425
Ge9 0.963 0.803 0.108
O25 0.435 0.567 0.396
K5 0.394 0.606 0.250
O26 0.182 0.205 0.224
O27 0.537 0.200 0.044
O28 0.567 0.435 0.896
O29 0.565 0.433 0.604
O30 0.200 0.537 0.544
O31 0.195 0.423 0.944
Ge10 0.101 0.365 0.758
O32 0.815 0.966 0.128
Eu3 0.531 0.116 0.919
O33 0.998 0.502 0.299
Ge11 0.614 0.437 0.095
O34 0.205 0.182 0.724
Eu4 0.856 0.144 0.250
O35 0.800 0.463 0.456
Ge12 0.037 0.197 0.892
Eu5 0.469 0.884 0.081
O36 0.857 0.111 0.939
Eu6 0.116 0.531 0.419
K6 0.925 0.714 0.925
```

Calculated values
Magnetization = 36.0 μB/cell
Energy relative to the elements = -24.53 eV per formula unit

***

Material: KTbEuGeO6
Method: DFT, PBE
State: relaxed

Cell and atoms, written as CIF:
```
data_KTbEuGeO6
_cell_length_a 5.817
_cell_length_b 5.817
_cell_length_c 5.817
_cell_angle_alpha 60.00
_cell_angle_beta 60.00
_cell_angle_gamma 60.00
_symmetry_space_group_name_H-M 'P 1'
_symmetry_Int_Tables_number 1
loop_
_symmetry_equiv_pos_as_xyz
'x,y,z'
loop_
_atom_site_label
_atom_site_fract_x
_atom_site_fract_y
_atom_site_fract_z
K1 0.250 0.250 0.250
O1 0.770 0.230 0.230
Ge1 0.000 0.000 0.000
Eu1 0.750 0.750 0.750
O2 0.230 0.230 0.770
Tb1 0.500 0.500 0.500
O3 0.770 0.230 0.770
O4 0.230 0.770 0.770
O5 0.770 0.770 0.230
O6 0.230 0.770 0.230
```

Calculated values
Magnetization = 5.0 μB/cell
Energy relative to the elements = -25.64 eV per formula unit

***

Material: KEuGeS4
Method: DFT, PBE
State: relaxed

Cell and atoms, written as CIF:
```
data_KEuGeS4
_cell_length_a 6.674
_cell_length_b 6.777
_cell_length_c 8.906
_cell_angle_alpha 72.27
_cell_angle_beta 90.00
_cell_angle_gamma 90.00
_symmetry_space_group_name_H-M 'P 1'
_symmetry_Int_Tables_number 1
loop_
_symmetry_equiv_pos_as_xyz
'x,y,z'
loop_
_atom_site_label
_atom_site_fract_x
_atom_site_fract_y
_atom_site_fract_z
S1 0.262 0.479 0.227
S2 0.497 0.918 0.338
S3 0.445 0.925 0.933
K1 0.516 0.233 0.564
S4 0.997 0.082 0.662
S5 0.771 0.522 0.209
S6 0.945 0.075 0.067
S7 0.271 0.478 0.791
K2 0.016 0.767 0.436
Ge1 0.999 0.276 0.821
Eu1 0.541 0.268 0.055
Eu2 0.041 0.732 0.945
Ge2 0.499 0.724 0.179
S8 0.762 0.521 0.773
```

Calculated values
Magnetization = 12.1 μB/cell
Energy relative to the elements = -9.59 eV per formula unit

***

Material: K2EuGeSe5
Method: DFT, PBE
State: relaxed

Cell and atoms, written as CIF:
```
data_K2EuGeSe5
_cell_length_a 10.066
_cell_length_b 9.012
_cell_length_c 11.910
_cell_angle_alpha 88.77
_cell_angle_beta 90.00
_cell_angle_gamma 90.00
_symmetry_space_group_name_H-M 'P 1'
_symmetry_Int_Tables_number 1
loop_
_symmetry_equiv_pos_as_xyz
'x,y,z'
loop_
_atom_site_label
_atom_site_fract_x
_atom_site_fract_y
_atom_site_fract_z
Se1 0.254 0.859 0.709
Se2 0.035 0.863 0.409
Se3 0.746 0.141 0.291
Ge1 0.979 0.708 0.253
Se4 0.367 0.999 0.248
Ge2 0.521 0.208 0.253
Ge3 0.479 0.792 0.747
K1 0.300 0.039 0.943
K2 0.800 0.461 0.057
Se5 0.987 0.194 0.930
Se6 0.066 0.337 0.414
K3 0.556 0.374 0.800
Se7 0.513 0.694 0.930
Eu1 0.272 0.106 0.517
K4 0.200 0.539 0.943
Se8 0.246 0.359 0.709
K5 0.944 0.874 0.800
Eu2 0.772 0.394 0.483
Se9 0.965 0.137 0.591
Se10 0.535 0.637 0.591
Eu3 0.728 0.894 0.483
K6 0.056 0.126 0.200
Eu4 0.228 0.606 0.517
Se11 0.465 0.363 0.409
K7 0.700 0.961 0.057
Se12 0.867 0.501 0.752
Ge4 0.021 0.292 0.747
Se13 0.633 0.001 0.752
Se14 0.754 0.641 0.291
Se15 0.133 0.499 0.248
Se16 0.434 0.837 0.414
K8 0.444 0.626 0.200
Se17 0.487 0.306 0.070
Se18 0.013 0.806 0.070
Se19 0.566 0.163 0.586
Se20 0.934 0.663 0.586
```

Calculated values
Magnetization = 28.0 μB/cell
Energy relative to the elements = -11.62 eV per formula unit

***

Material: Li2EuGe
Method: DFT, PBE
State: relaxed

Cell and atoms, written as CIF:
```
data_Li2EuGe
_cell_length_a 4.768
_cell_length_b 4.768
_cell_length_c 4.768
_cell_angle_alpha 60.00
_cell_angle_beta 60.00
_cell_angle_gamma 60.00
_symmetry_space_group_name_H-M 'P 1'
_symmetry_Int_Tables_number 1
loop_
_symmetry_equiv_pos_as_xyz
'x,y,z'
loop_
_atom_site_label
_atom_site_fract_x
_atom_site_fract_y
_atom_site_fract_z
Li1 0.750 0.750 0.750
Ge1 0.000 0.000 0.000
Li2 0.250 0.250 0.250
Eu1 0.500 0.500 0.500
```

Calculated values
Magnetization = 7.0 μB/cell
Energy relative to the elements = -1.59 eV per formula unit

***

Material: Li2EuGeS4
Method: DFT, PBE
State: relaxed

Cell and atoms, written as CIF:
```
data_Li2EuGeS4
_cell_length_a 6.041
_cell_length_b 6.041
_cell_length_c 6.041
_cell_angle_alpha 114.10
_cell_angle_beta 114.10
_cell_angle_gamma 100.57
_symmetry_space_group_name_H-M 'P 1'
_symmetry_Int_Tables_number 1
loop_
_symmetry_equiv_pos_as_xyz
'x,y,z'
loop_
_atom_site_label
_atom_site_fract_x
_atom_site_fract_y
_atom_site_fract_z
S1 0.636 0.636 0.603
S2 0.967 0.364 0.000
S3 0.364 0.967 0.000
S4 0.033 0.033 0.397
Ge1 0.000 0.000 0.000
Li1 0.250 0.750 0.500
Eu1 0.500 0.500 0.000
Li2 0.750 0.250 0.500
```

Calculated values
Magnetization = 7.0 μB/cell
Energy relative to the elements = -11.83 eV per formula unit

***

Material: EuMg3Ge3
Method: DFT, PBE
State: relaxed

Cell and atoms, written as CIF:
```
data_EuMg3Ge3
_cell_length_a 15.628
_cell_length_b 15.628
_cell_length_c 4.611
_cell_angle_alpha 90.00
_cell_angle_beta 90.00
_cell_angle_gamma 163.50
_symmetry_space_group_name_H-M 'P 1'
_symmetry_Int_Tables_number 1
loop_
_symmetry_equiv_pos_as_xyz
'x,y,z'
loop_
_atom_site_label
_atom_site_fract_x
_atom_site_fract_y
_atom_site_fract_z
Ge1 0.403 0.597 0.750
Mg1 0.750 0.250 0.750
Mg2 0.250 0.750 0.250
Ge2 0.597 0.403 0.250
Mg3 0.147 0.853 0.250
Eu1 0.944 0.056 0.250
Ge3 0.516 0.484 0.250
Mg4 0.853 0.147 0.750
Ge4 0.801 0.199 0.250
Mg5 0.646 0.354 0.750
Eu2 0.056 0.944 0.750
Ge5 0.484 0.516 0.750
Mg6 0.354 0.646 0.250
Ge6 0.199 0.801 0.750
```

Calculated values
Magnetization = 14.0 μB/cell
Energy relative to the elements = -2.11 eV per formula unit

***

Material: EuMgGe
Method: DFT, PBE
State: relaxed

Cell and atoms, written as CIF:
```
data_EuMgGe
_cell_length_a 4.547
_cell_length_b 7.668
_cell_length_c 8.502
_cell_angle_alpha 90.00
_cell_angle_beta 90.00
_cell_angle_gamma 90.00
_symmetry_space_group_name_H-M 'P 1'
_symmetry_Int_Tables_number 1
loop_
_symmetry_equiv_pos_as_xyz
'x,y,z'
loop_
_atom_site_label
_atom_site_fract_x
_atom_site_fract_y
_atom_site_fract_z
Eu1 0.250 0.483 0.818
Mg1 0.750 0.644 0.564
Ge1 0.750 0.774 0.888
Mg2 0.250 0.856 0.064
Mg3 0.250 0.356 0.436
Mg4 0.750 0.144 0.936
Eu2 0.750 0.517 0.182
Eu3 0.750 0.017 0.318
Ge2 0.250 0.726 0.388
Ge3 0.750 0.274 0.612
Ge4 0.250 0.226 0.112
Eu4 0.250 0.983 0.682
```

Calculated values
Energy relative to the elements = -1.75 eV per formula unit